First-principles (GGA-PBE) data for crystalline CuNiPd at its relaxed geometry, as listed in the Materials Project.

Properties
ρ, Mg/m³: 9.8
ΔE_f, meV/atom: 37
Energy, eV per atom: -4.983

```
CuNiPd
1.0
2.659 0.000 0.000
-1.330 2.303 0.000
0.000 0.000 6.353
Cu Ni Pd
1 1 1
direct
0.000 0.000 0.000 Cu
0.667 0.333 0.310 Ni
0.333 0.667 0.652 Pd
```

First-principles (GGA-PBE) data for crystalline CuNi3S8 at its relaxed geometry, as listed in the Materials Project.

Properties
ρ, Mg/m³: 4.5
ΔE_f, meV/atom: -543
Energy, eV per atom: -4.752

```
CuNi3S8
1.0
4.029 2.326 3.252
-4.029 2.326 3.252
0.000 -4.652 3.252
Cu Ni S
1 3 8
direct
0.000 0.000 0.000 Cu
0.000 0.500 0.500 Ni
0.500 0.000 0.500 Ni
0.500 0.500 0.000 Ni
0.109 0.597 0.890 S
0.110 0.891 0.403 S
0.394 0.394 0.394 S
0.403 0.110 0.891 S
0.597 0.890 0.109 S
0.606 0.606 0.606 S
0.890 0.109 0.597 S
0.891 0.403 0.110 S
```

First-principles (GGA-PBE) data for crystalline CuNiSbS3 at its relaxed geometry, as listed in the Materials Project.

Properties
ρ, Mg/m³: 5.0
ΔE_f, meV/atom: -553
Piezoelectric modulus e_max, C/m²: 0.2
Energy, eV per atom: -4.705

```
CuNiSbS3
1.0
4.893 0.000 0.000
0.000 7.488 0.000
0.000 0.000 12.445
Cu Ni Sb S
4 4 4 12
direct
0.025 0.119 0.438 Cu
0.475 0.881 0.938 Cu
0.525 0.381 0.562 Cu
0.975 0.619 0.062 Cu
0.005 0.628 0.749 Ni
0.495 0.372 0.249 Ni
0.505 0.872 0.251 Ni
0.995 0.128 0.751 Ni
0.059 0.125 0.133 Sb
0.441 0.875 0.633 Sb
0.559 0.375 0.867 Sb
0.941 0.625 0.367 Sb
0.215 0.129 0.909 S
0.222 0.629 0.907 S
0.224 0.377 0.705 S
0.276 0.623 0.205 S
0.278 0.371 0.407 S
0.285 0.871 0.409 S
0.715 0.371 0.091 S
0.722 0.871 0.093 S
0.724 0.123 0.295 S
0.776 0.877 0.795 S
0.778 0.129 0.593 S
0.785 0.629 0.591 S
```

First-principles (GGA-PBE) data for crystalline Cu4Si2NiS7 at its relaxed geometry, as listed in the Materials Project.

Properties
ρ, Mg/m³: 4.0
ΔE_f, meV/atom: -673
Energy, eV per atom: -4.849

```
Cu4Si2NiS7
1.0
5.768 -2.640 0.000
5.768 2.640 0.000
-1.241 0.000 8.076
Cu Si Ni S
4 2 1 7
direct
0.140 0.140 0.435 Cu
0.276 0.304 0.861 Cu
0.696 0.724 0.139 Cu
0.860 0.860 0.565 Cu
0.398 0.453 0.282 Si
0.547 0.602 0.718 Si
0.981 0.019 0.000 Ni
0.039 0.531 0.351 S
0.176 0.698 0.787 S
0.302 0.824 0.213 S
0.469 0.961 0.649 S
0.593 0.131 0.086 S
0.712 0.288 0.500 S
0.869 0.407 0.914 S
```

First-principles (GGA-PBE) data for crystalline Cu2NiSnS4 at its relaxed geometry, as listed in the Materials Project.

Properties
ρ, Mg/m³: 4.6
ΔE_f, meV/atom: -564
Energy, eV per atom: -4.630

```
Cu2NiSnS4
1.0
-2.682 2.682 5.416
2.682 -2.682 5.416
2.682 2.682 -5.416
Cu Ni Sn S
2 1 1 4
direct
0.000 0.000 0.000 Cu
0.750 0.250 0.500 Cu
0.500 0.500 0.000 Ni
0.250 0.750 0.500 Sn
0.125 0.614 0.970 S
0.386 0.356 0.511 S
0.644 0.155 0.030 S
0.845 0.875 0.489 S
```

First-principles (GGA-PBE) data for crystalline CuNi3Sn2S8 at its relaxed geometry, as listed in the Materials Project.

Properties
ρ, Mg/m³: 4.8
ΔE_f, meV/atom: -597
Energy, eV per atom: -4.777

```
CuNi3Sn2S8
1.0
-3.556 3.585 4.965
3.556 -3.585 4.965
3.556 3.585 -4.965
Cu Ni Sn S
1 3 2 8
direct
0.000 0.000 0.000 Cu
0.238 0.738 0.500 Ni
0.618 0.368 0.750 Ni
0.618 0.868 0.250 Ni
0.118 0.369 0.750 Sn
0.619 0.369 0.250 Sn
0.383 0.124 0.740 S
0.383 0.643 0.260 S
0.391 0.114 0.277 S
0.397 0.625 0.771 S
0.837 0.114 0.723 S
0.851 0.096 0.245 S
0.851 0.605 0.755 S
0.854 0.625 0.229 S
```

First-principles (GGA-PBE) data for crystalline U6Cu3Ni3Sb8 at its relaxed geometry, as listed in the Materials Project.

Properties
ρ, Mg/m³: 10.7
ΔE_f, meV/atom: -395
Energy, eV per atom: -6.839

```
U6Cu3Ni3Sb8
1.0
6.718 -4.748 0.000
6.718 4.748 0.000
-6.692 0.000 6.726
U Cu Ni Sb
6 3 3 8
direct
0.000 0.000 0.000 U
0.257 0.499 0.134 U
0.375 0.115 0.618 U
0.501 0.743 0.866 U
0.761 0.239 0.500 U
0.885 0.625 0.382 U
0.380 0.119 0.125 Cu
0.506 0.494 0.000 Cu
0.881 0.620 0.875 Cu
0.006 0.244 0.375 Ni
0.255 0.745 0.500 Ni
0.756 0.994 0.625 Ni
0.128 0.037 0.748 Sb
0.131 0.535 0.748 Sb
0.296 0.371 0.418 Sb
0.465 0.869 0.252 Sb
0.629 0.704 0.582 Sb
0.633 0.203 0.085 Sb
0.797 0.367 0.915 Sb
0.963 0.872 0.252 Sb
```

First-principles (GGA-PBE) data for crystalline Sc2CuNi at its relaxed geometry, as listed in the Materials Project.

Properties
ρ, Mg/m³: 5.4
ΔE_f, meV/atom: -390
Energy, eV per atom: -6.026

```
Sc2CuNi
1.0
0.000 3.203 3.203
3.203 0.000 3.203
3.203 3.203 0.000
Sc Cu Ni
2 1 1
direct
0.250 0.250 0.250 Sc
0.750 0.750 0.750 Sc
0.000 0.000 0.000 Cu
0.500 0.500 0.500 Ni
```